A relaxed LiNb2Te4Cl10O crystal. Source: the Materials Project, functional PBE. Values from VASP.

```
&SYSTEM
  ibrav = 0, nat = 18, ntyp = 5
/
ATOMIC_SPECIES
Li 6.94 Li.upf
Nb 92.91 Nb.upf
Te 127.60 Te.upf
Cl 35.45 Cl.upf
O 16.00 O.upf
CELL_PARAMETERS angstrom
7.143 0.000 0.000
2.225 8.626 0.000
0.040 1.490 9.347
ATOMIC_POSITIONS crystal
Li 0.000 0.000 0.000
Nb 0.886 0.014 0.365
Nb 0.926 0.298 0.625
Te 0.241 0.736 0.819
Te 0.324 0.457 0.008
Te 0.505 0.839 0.969
Te 0.595 0.556 0.151
Cl 0.025 0.165 0.167
Cl 0.068 0.439 0.448
Cl 0.200 0.853 0.416
Cl 0.236 0.125 0.713
Cl 0.574 0.177 0.271
Cl 0.609 0.439 0.561
Cl 0.741 0.850 0.518
Cl 0.786 0.128 0.806
Cl 0.862 0.838 0.168
Cl 0.952 0.464 0.797
O 0.908 0.149 0.492
```

**Electronic total energy**: -77.4 eV per cell
**Crystal system**: triclinic
**Space group**: P1 (1)
**Corrected total energy (MP2020 scheme)**: -4.339 eV/atom